1.
! ErIn5Rh PBE-GGA relaxed; values from VASP
&SYSTEM
  ibrav = 0, nat = 7, ntyp = 3
/
ATOMIC_SPECIES
Er 167.26 Er.upf
Rh 102.91 Rh.upf
In 114.82 In.upf
CELL_PARAMETERS angstrom
-1.837 3.503 2.490
1.886 -1.776 3.890
6.185 4.058 -1.146
ATOMIC_POSITIONS crystal
Er 0.000 0.000 0.000
Rh 0.000 0.000 0.500
In 0.500 0.000 0.700
In 0.500 0.000 0.300
In 0.500 0.500 0.000
In 0.000 0.500 0.700
In 0.000 0.500 0.300
! Crystal system = tetragonal

2.
! Er11In6Si4 PBE-GGA relaxed; values from VASP
&SYSTEM
  ibrav = 0, nat = 42, ntyp = 3
/
ATOMIC_SPECIES
Er 167.26 Er.upf
In 114.82 In.upf
Si 28.09 Si.upf
CELL_PARAMETERS angstrom
-5.695 5.695 8.038
5.695 -5.695 8.038
5.695 5.695 -8.038
ATOMIC_POSITIONS crystal
Er 0.898 0.246 0.347
Er 0.102 0.754 0.653
Er 0.898 0.551 0.653
Er 0.829 0.829 0.000
Er 0.066 0.316 0.750
Er 0.684 0.934 0.250
Er 0.316 0.567 0.250
Er 0.567 0.316 0.250
Er 0.171 0.171 0.000
Er 0.332 0.668 0.000
Er 0.316 0.066 0.750
Er 0.668 0.668 0.336
Er 0.934 0.684 0.250
Er 0.449 0.102 0.347
Er 0.332 0.332 0.664
Er 0.102 0.449 0.347
Er 0.433 0.684 0.750
Er 0.684 0.433 0.750
Er 0.246 0.898 0.347
Er 0.754 0.102 0.653
Er 0.551 0.898 0.653
Er 0.668 0.332 0.000
In 0.034 0.623 0.000
In 0.966 0.966 0.589
In 0.966 0.377 0.000
In 0.623 0.034 0.000
In 0.129 0.871 0.000
In 0.871 0.129 0.000
In 0.623 0.623 0.589
In 0.377 0.966 0.000
In 0.034 0.034 0.411
In 0.377 0.377 0.411
In 0.871 0.871 0.742
In 0.129 0.129 0.258
Si 0.500 0.848 0.348
Si 0.250 0.750 0.500
Si 0.848 0.500 0.348
Si 0.750 0.250 0.500
Si 0.152 0.500 0.652
Si 0.615 0.615 0.000
Si 0.500 0.152 0.652
Si 0.385 0.385 0.000
! Crystal system = tetragonal

3.
! ErIn2Sn PBE-GGA relaxed; values from VASP
&SYSTEM
  ibrav = 0, nat = 4, ntyp = 3
/
ATOMIC_SPECIES
Sn 118.71 Sn.upf
In 114.82 In.upf
Er 167.26 Er.upf
CELL_PARAMETERS angstrom
-0.340 -3.827 2.533
-0.090 -2.534 -3.841
4.731 -0.344 0.116
ATOMIC_POSITIONS crystal
Sn 0.500 0.500 0.000
In 0.000 0.500 0.500
In 0.500 0.000 0.500
Er 0.000 0.000 0.000
! Crystal system = tetragonal

4.
! TbErIn2 PBE-GGA relaxed; values from VASP
&SYSTEM
  ibrav = 0, nat = 4, ntyp = 3
/
ATOMIC_SPECIES
Er 167.26 Er.upf
In 114.82 In.upf
Tb 158.93 Tb.upf
CELL_PARAMETERS angstrom
0.824 -0.498 5.217
-3.995 -1.408 3.194
-0.034 -4.807 2.244
ATOMIC_POSITIONS crystal
Er 0.500 0.500 0.500
In 0.750 0.750 0.750
In 0.250 0.250 0.250
Tb 0.000 0.000 0.000
! Crystal system = cubic

no.,electronic total energy (Ry per atom),calculated formation energy (eV/atom)
1,-0.2978,-0.38
2,-0.3528,-0.57
3,-0.2870,-0.39
4,-0.3033,-0.45